[1]
A plane-wave DFT calculation with PBE was carried out for an optimized crystal structure of K2LiS2O4F2.

Cell lengths 5.0286, 5.5665, 8.1010 Å; angles 90.00, 107.86, 90.00 degrees
Last column: nearest neighbours and their distance in Å.
Element x y z (fractional)
O: 0.3217 0.4774 0.6722  1 S 1.53
O: 0.6252 0.5289 0.2381  1 S 1.49
O: 0.6252 0.9711 0.2381  1 S 1.49
O: 0.3217 0.0226 0.6722  1 S 1.53
S: 0.6953 0.7500 0.1567  2 O 1.49
S: 0.2677 0.2500 0.7620  2 O 1.53
F: 0.9228 0.2500 0.0142  1 Li 1.76
F: 0.0543 0.7500 0.2484  1 S 1.73
K: 0.8116 0.7500 0.7424  2 O 2.80
K: 0.2247 0.2500 0.3368  1 F 2.59, 2 O 2.85
Li: 0.6159 0.2500 0.0763  1 F 1.76

## Properties
Crystal system ... monoclinic
Symmetry ... Pm, No. 6



[2]
A plane-wave DFT calculation with PBE was carried out for an optimized crystal structure of K2LiS2O4F2.

Cell lengths 4.4633, 6.1163, 8.2224 Å; angles 98.32, 105.74, 91.57 degrees
Last column: nearest neighbours and their distance in Å.
Element x y z (fractional)
K: 0.7870 0.7808 0.3917  3 F 2.64-2.67, 1 O 2.90
K: 0.3026 0.3131 0.6757  3 F 2.60-2.67, 1 O 2.87
S: 0.0308 0.8442 0.9066  2 O 1.48
S: 0.9217 0.2827 0.0934  2 O 1.49
F: 0.3057 0.0184 0.4036  1 Li 1.82
F: 0.7467 0.4345 0.5444  1 Li 1.83
O: 0.3122 0.7178 0.9322  1 S 1.48
O: 0.6497 0.1916 0.1416  1 S 1.49
O: 0.9638 0.9564 0.7541  1 S 1.48
O: 0.1435 0.4342 0.2370  1 S 1.49
Li: 0.5029 0.2555 0.3548  2 F 1.82-1.83, 1 O 2.02

## Properties
Crystal system ... triclinic
Symmetry ... P1, No. 1



[3]
A plane-wave DFT calculation with PBE was carried out for an optimized crystal structure of K2LiS2O4F2.

Cell lengths 4.5294, 6.2717, 8.4428 Å; angles 91.25, 114.15, 86.92 degrees
Last column: nearest neighbours and their distance in Å.
Element x y z (fractional)
K: 0.6027 0.7415 0.4043  1 F 2.45
K: 0.2624 0.2570 0.6378  2 F 2.51-2.52
O: 0.3746 0.8150 0.0445  1 S 1.54
O: 0.0394 0.8799 0.7252  1 S 1.51
O: 0.9939 0.4905 0.2495  1 S 1.46
O: 0.7534 0.2461 0.0030  1 S 1.48
F: 0.7015 0.4108 0.5721  3 K 2.45-2.52
F: 0.0578 0.0447 0.2932  1 Li 1.92, 1 S 2.08
S: 0.0503 0.3115 0.1497  2 O 1.46-1.48
S: 0.0692 0.7601 0.8846  2 O 1.51-1.54
Li: 0.7615 0.9388 0.0732  2 O 1.88-2.02, 1 F 1.92

## Properties
Crystal system ... triclinic
Symmetry ... P1, No. 1



[4]
A plane-wave DFT calculation with PBE was carried out for an optimized crystal structure of K2LiS2O4F2.

Cell lengths 4.5469, 5.8778, 9.2068 Å; angles 100.42, 113.97, 86.92 degrees
Last column: nearest neighbours and their distance in Å.
Element x y z (fractional)
K: 0.6462 0.7193 0.4107  3 F 2.67-2.85, 2 O 2.80-2.89
K: 0.3778 0.2174 0.6982  3 F 2.60-2.86, 2 O 2.86-2.87
O: 0.9575 0.5707 0.1921  1 S 1.53
O: 0.3645 0.6837 0.8710  1 S 1.47
O: 0.7566 0.1574 0.0731  1 S 1.52
O: 0.9282 0.9347 0.7340  1 S 1.48
Li: 0.9243 0.9047 0.1892  1 F 1.81, 2 O 1.93-1.96
F: 0.1473 0.9834 0.4052  1 Li 1.81
F: 0.8240 0.4942 0.6641  1 S 1.92
S: 0.0289 0.7495 0.8334  2 O 1.47-1.48
S: 0.9891 0.3455 0.0865  2 O 1.52-1.53

## Properties
Crystal system ... triclinic
Symmetry ... P1, No. 1



[5]
A plane-wave DFT calculation with PBE was carried out for an optimized crystal structure of K2LiS2O4F2.

Cell lengths 5.3868, 6.0344, 7.4856 Å; angles 86.90, 106.69, 107.61 degrees
Last column: nearest neighbours and their distance in Å.
Element x y z (fractional)
O: 0.9412 0.9392 0.7578  1 S 1.53
O: 0.1157 0.5127 0.3049  1 S 1.49
O: 0.3647 0.8232 0.8125  1 S 1.53
O: 0.7773 0.2432 0.0543  1 S 1.48
S: 0.1416 0.8341 0.8969  2 O 1.53
S: 0.0624 0.3192 0.1708  2 O 1.48-1.49
Li: 0.6821 0.0925 0.7924  1 F 1.85, 3 O 1.97-2.07
K: 0.7293 0.6822 0.4019  2 F 2.63-2.68, 2 O 2.85-2.90
K: 0.2358 0.3745 0.6732  3 F 2.65-2.91, 3 O 2.77-2.79
F: 0.0580 0.0875 0.3324  1 S 1.80
F: 0.6975 0.3417 0.6362  1 Li 1.85

## Properties
Crystal system ... triclinic
Symmetry ... P1, No. 1



[6]
A plane-wave DFT calculation with PBE was carried out for an optimized crystal structure of K2LiS2O4F2.

Cell lengths 4.5516, 6.4617, 7.6524 Å; angles 92.24, 101.08, 102.31 degrees
Last column: nearest neighbours and their distance in Å.
Element x y z (fractional)
O: 0.6693 0.2718 0.0807  1 S 1.53
O: 0.1380 0.4062 0.3272  1 S 1.52
O: 0.8259 0.9347 0.6854  1 S 1.48
O: 0.2040 0.8438 0.9220  1 S 1.48
S: 0.0197 0.3340 0.1299  2 O 1.52-1.53
S: 0.8779 0.7892 0.8274  2 O 1.48
Li: 0.3532 0.0491 0.1332  1 F 1.78, 2 O 1.92-1.96
F: 0.3042 0.9336 0.3356  1 Li 1.78
F: 0.8769 0.5548 0.6887  1 S 1.81
K: 0.3946 0.1877 0.6220  2 F 2.60-2.82, 3 O 2.80-2.90
K: 0.7389 0.7054 0.3498  3 F 2.70-2.81, 3 O 2.83-2.96

## Properties
Crystal system ... triclinic
Symmetry ... P1, No. 1



[7]
A plane-wave DFT calculation with PBE was carried out for an optimized crystal structure of K2LiS2O4F2.

Cell lengths 5.0806, 5.5924, 7.9185 Å; angles 90.00, 109.07, 90.00 degrees
Last column: nearest neighbours and their distance in Å.
Element x y z (fractional)
O: 0.3431 0.4707 0.7371  1 S 1.49
O: 0.3431 0.0293 0.7371  1 S 1.49
O: 0.6670 0.9763 0.3218  1 S 1.53
O: 0.6670 0.5237 0.3218  1 S 1.53
F: 0.7807 0.2500 0.8758  1 S 1.74
F: 0.0689 0.7500 0.9823  1 Li 1.74
S: 0.7200 0.7500 0.2302  2 O 1.53
S: 0.4256 0.2500 0.8470  2 O 1.49
K: 0.1705 0.2500 0.2355  2 O 2.84, 1 F 2.89
K: 0.7632 0.7500 0.6554  1 F 2.55, 2 O 2.82
Li: 0.3564 0.7500 0.9080  1 F 1.74

## Properties
Crystal system ... monoclinic
Symmetry ... Pm, No. 6



[8]
A plane-wave DFT calculation with PBE was carried out for an optimized crystal structure of K2LiPdF6.

Cell lengths 5.8912, 5.8912, 5.8912 Å; angles 121.02, 121.02, 88.24 degrees
Last column: nearest neighbours and their distance in Å.
Element x y z (fractional)
Pd: 0.0000 0.0000 0.0000  6 F 2.00-2.21
Li: 0.5000 0.5000 0.0000  6 F 2.02-2.10
F: 0.7564 0.2436 0.0000  1 Pd 2.00, 1 Li 2.10
F: 0.2436 0.7564 0.0000  1 Pd 2.00, 1 Li 2.10
F: 0.2436 0.2436 0.4871  1 Pd 2.00, 1 Li 2.10
F: 0.2609 0.2609 0.0000  1 Li 2.02, 1 Pd 2.21
F: 0.7391 0.7391 0.0000  1 Li 2.02, 1 Pd 2.21
F: 0.7564 0.7564 0.5129  1 Pd 2.00, 1 Li 2.10
K: 0.2500 0.7500 0.5000  12 F 2.90-2.95
K: 0.7500 0.2500 0.5000  12 F 2.90-2.95

## Properties
Crystal system ... tetragonal
Symmetry ... I4/mmm, No. 139



[9]
A plane-wave DFT calculation with PBE was carried out for an optimized crystal structure of K2LiPdF6.

Cell lengths 5.8486, 5.8486, 5.8486 Å; angles 60.00, 60.00, 60.00 degrees
Last column: nearest neighbours and their distance in Å.
Element x y z (fractional)
Pd: 0.0000 0.0000 0.0000  6 F 2.06
F: 0.2491 0.7509 0.7509  1 Pd 2.06, 1 Li 2.08
F: 0.2491 0.2491 0.7509  1 Pd 2.06, 1 Li 2.08
F: 0.7509 0.7509 0.2491  1 Pd 2.06, 1 Li 2.08
F: 0.7509 0.2491 0.7509  1 Pd 2.06, 1 Li 2.08
F: 0.7509 0.2491 0.2491  1 Pd 2.06, 1 Li 2.08
F: 0.2491 0.7509 0.2491  1 Pd 2.06, 1 Li 2.08
K: 0.2500 0.2500 0.2500  12 F 2.92
K: 0.7500 0.7500 0.7500  12 F 2.92
Li: 0.5000 0.5000 0.5000  6 F 2.08

## Properties
Crystal system ... cubic
Symmetry ... Fm-3m, No. 225



no.,energy of formation from the pure elements (meV per atom),polymorph energy (0 for the lowest one) (kJ/mol of atoms)
1,-2074,5.65
2,-2132,0.00
3,-2078,5.18
4,-2109,2.24
5,-2127,0.46
6,-2123,0.87
7,-2071,5.88
8,-2533,0.00
9,-2524,0.84